A plane-wave DFT calculation with PBE was carried out for crystalline Bi2PdSe4O12 at its relaxed geometry.

Structure (extended XYZ):
```
38
Lattice="10.933 0.000 0.000 0.000 7.310 0.000 -2.793 0.000 7.761" Properties=species:S:1:pos:R:3 pbc="T T T"
Bi 0.337 0.896 1.894
Bi -1.060 2.759 5.774
Bi 9.200 4.550 1.987
Bi 7.804 6.414 5.867
Pd 4.070 0.000 3.881
Pd 5.467 3.655 0.000
Se 1.650 4.921 1.069
Se 0.254 6.044 4.949
Se 3.681 1.225 0.869
Se 2.284 2.430 4.749
Se 5.856 4.880 3.012
Se 4.460 6.084 6.893
Se 7.886 1.266 2.812
Se 6.490 2.389 6.692
O -0.835 4.715 4.512
O 0.562 6.250 0.631
O 0.473 3.738 1.521
O -0.924 7.227 5.402
O -0.662 4.515 7.221
O 0.734 6.449 3.341
O 2.163 1.574 0.144
O 0.767 2.081 4.024
O 2.896 0.707 2.373
O 1.499 2.948 6.253
O 2.888 0.885 5.290
O 4.284 2.769 1.410
O 3.856 4.540 6.351
O 5.253 6.424 2.471
O 6.641 4.362 1.508
O 5.244 6.603 5.388
O 7.374 5.229 3.737
O 5.977 5.736 7.618
O 7.406 0.861 4.420
O 8.802 2.794 0.540
O 9.064 0.083 2.359
O 7.668 3.572 6.240
O 7.579 1.060 7.130
O 8.975 2.595 3.249
```

## Properties
The formation energy comes out at -1.339 eV/atom. As for the calculated volume: 16.32 A^3/atom. The energy with MP2020 corrections is -5.88 eV/atom. The raw total energy is -5.448 eV/atom.

=====

A plane-wave DFT calculation with PBE was carried out for crystalline Ru3Cl at its relaxed geometry.

Structure (extended XYZ):
```
8
Lattice="4.193 0.000 0.000 0.000 4.193 0.000 0.000 0.000 6.660" Properties=species:S:1:pos:R:3 pbc="T T T"
Ru 0.000 0.000 0.000
Ru 0.000 2.097 1.665
Ru 0.000 2.097 4.995
Ru 2.097 0.000 1.665
Ru 2.097 0.000 4.995
Ru 2.097 2.097 3.330
Cl 0.000 0.000 3.330
Cl 2.097 2.097 0.000
```

## Properties
The formation energy comes out at 0.807 eV/atom. As for the calculated volume: 14.64 A^3/atom. The energy with MP2020 corrections is -6.61 eV/atom. The raw total energy is -6.457 eV/atom.

=====

A plane-wave DFT calculation with PBE was carried out for crystalline MgSi at its relaxed geometry.

Structure (extended XYZ):
```
12
Lattice="5.245 0.000 0.000 0.871 5.436 0.000 0.368 1.451 7.580" Properties=species:S:1:pos:R:3 pbc="T T T"
Mg 0.495 2.077 1.395
Mg 1.897 2.682 4.047
Mg 2.985 4.029 0.877
Mg 3.498 2.857 6.703
Mg 4.586 4.204 3.533
Mg 5.988 4.809 6.184
Si 0.869 1.969 6.564
Si 2.005 5.347 3.400
Si 3.339 5.668 5.566
Si 3.144 1.218 2.014
Si 4.478 1.539 4.179
Si 5.614 4.918 1.016
```

## Properties
The formation energy comes out at 0.108 eV/atom. As for the calculated volume: 18.01 A^3/atom. The energy with MP2020 corrections is -3.41 eV/atom. The raw total energy is -3.441 eV/atom.

=====

A plane-wave DFT calculation with PBE was carried out for crystalline YAlPd2 at its relaxed geometry.

Structure (extended XYZ):
```
8
Lattice="4.374 0.000 0.000 -2.187 3.788 0.000 0.000 0.000 9.190" Properties=species:S:1:pos:R:3 pbc="T T T"
Y 0.000 2.525 2.298
Y 2.187 1.263 6.893
Al 0.000 0.000 0.000
Al 0.000 0.000 4.595
Pd 0.000 2.525 5.313
Pd 0.000 2.525 8.472
Pd 2.187 1.263 0.718
Pd 2.187 1.263 3.877
```

## Properties
The formation energy comes out at -0.943 eV/atom. As for the calculated volume: 19.04 A^3/atom. The raw total energy is -6.086 eV/atom.

=====

> Which of these has the lowest calculated volume?

Ru3Cl